DFT (r²SCAN) results for a relaxed structure of KHg5Cl11.

a b c (Å): 11.7672 14.2467 6.5411
angles (deg): 90.00 118.02 90.00
Space group C2/m (No. 12)
Unique sites:
K  0.0000  0.0000  0.0000 [2 per cell]
Hg  0.0000  0.5000  0.0000 [2 per cell]
Hg  0.1842  0.1680  0.6852 [8 per cell]
Cl  0.0000  0.0000  0.5000 [2 per cell]
Cl  0.0782  0.2183  0.2988 [8 per cell]
Cl  0.1500  0.5000  0.3903 [4 per cell]
Cl  0.2071  0.3760  0.9257 [8 per cell]

Results
E_form ... -0.870 eV/atom
Total DFT energy (no corrections) ... -19.7250 eV per atom
Total magnetization ... 0.00 μB/atom

***

DFT (r²SCAN) results for a relaxed structure of RbHg5Cl11.

a b c (Å): 11.7961 14.3082 6.6215
angles (deg): 90.00 118.51 90.00
Space group C2/m (No. 12)
Unique sites:
Rb  0.0000  0.0000  0.0000 [2 per cell]
Hg  0.0000  0.5000  0.0000 [2 per cell]
Hg  0.1844  0.1678  0.6848 [8 per cell]
Cl  0.0000  0.0000  0.5000 [2 per cell]
Cl  0.0786  0.2189  0.3020 [8 per cell]
Cl  0.1502  0.5000  0.3883 [4 per cell]
Cl  0.2068  0.3756  0.9287 [8 per cell]

Results
E_form ... -0.879 eV/atom
Total DFT energy (no corrections) ... -20.1996 eV per atom
Total magnetization ... 0.00 μB/atom

***

DFT (r²SCAN) results for a relaxed structure of Hg3Te2Cl2.

a b c (Å): 9.4851 9.4851 9.4851
angles (deg): 90.00 90.00 90.00
Space group I2_13 (No. 199)
Unique sites:
Hg  0.0000  0.2500  0.3109 [12 per cell]
Te  0.2187  0.2813  0.7187 [8 per cell]
Cl  0.0192  0.0192  0.0192 [8 per cell]

Results
E_form ... -0.484 eV/atom
Total DFT energy (no corrections) ... -30.6616 eV per atom
Total magnetization ... 0.00 μB/atom

***

DFT (r²SCAN) results for a relaxed structure of Tl10Hg3Cl16.

a b c (Å): 8.4600 8.4600 23.9558
angles (deg): 90.00 90.00 90.00
Space group I4/m (No. 87)
Unique sites:
Tl  0.0000  0.0000  0.2337 [4 per cell]
Tl  0.1340  0.6673  0.0891 [16 per cell]
Hg  0.0000  0.0000  0.5000 [2 per cell]
Hg  0.0000  0.5000  0.2500 [4 per cell]
Cl  0.0000  0.0000  0.1009 [4 per cell]
Cl  0.0000  0.0000  0.4009 [4 per cell]
Cl  0.1485  0.6743  0.5000 [8 per cell]
Cl  0.1651  0.3342  0.1848 [16 per cell]

Results
E_form ... -0.997 eV/atom
Total DFT energy (no corrections) ... -27.8362 eV per atom
Total magnetization ... 0.00 μB/atom

***

DFT (r²SCAN) results for a relaxed structure of TlHg5Cl11.

a b c (Å): 11.7360 14.3145 6.5342
angles (deg): 90.00 118.09 90.00
Space group C2/m (No. 12)
Unique sites:
Tl  0.0000  0.0000  0.0000 [2 per cell]
Hg  0.0000  0.5000  0.0000 [2 per cell]
Hg  0.1855  0.1672  0.6848 [8 per cell]
Cl  0.0000  0.0000  0.5000 [2 per cell]
Cl  0.0786  0.2173  0.2977 [8 per cell]
Cl  0.1503  0.5000  0.3914 [4 per cell]
Cl  0.2068  0.3763  0.9253 [8 per cell]

Results
E_form ... -0.746 eV/atom
Total DFT energy (no corrections) ... -22.3756 eV per atom
Total magnetization ... 0.00 μB/atom

***

DFT (r²SCAN) results for a relaxed structure of HoCl3.

a b c (Å): 9.7668 9.7668 3.5565
angles (deg): 90.00 90.00 120.00
Space group P6_3/mmc (No. 194)
Unique sites:
Ho  0.3333  0.6667  0.2500 [2 per cell]
Cl  0.2180  0.4359  0.7500 [6 per cell]

Results
E_form ... -2.437 eV/atom
Total DFT energy (no corrections) ... -15.2714 eV per atom
Total magnetization ... 0.00 μB/atom

***

DFT (r²SCAN) results for a relaxed structure of K2HoCl5.

a b c (Å): 12.6716 8.5151 7.9002
angles (deg): 90.00 90.00 90.00
Space group Pnma (No. 62)
Unique sites:
K  0.1716  0.0044  0.0537 [8 per cell]
Ho  0.0045  0.2500  0.5747 [4 per cell]
Cl  0.0102  0.2500  0.9157 [4 per cell]
Cl  0.0732  0.5434  0.6638 [8 per cell]
Cl  0.1755  0.2500  0.3802 [4 per cell]
Cl  0.1990  0.7500  0.3421 [4 per cell]

Results
E_form ... -2.414 eV/atom
Total DFT energy (no corrections) ... -11.8744 eV per atom
Total magnetization ... 0.00 μB/atom

***

DFT (r²SCAN) results for a relaxed structure of K3HoCl6.

a b c (Å): 13.0215 7.7264 12.4699
angles (deg): 90.00 109.02 90.00
Space group P2_1/c (No. 14)
Unique sites:
K  0.0997  0.0368  0.3583 [4 per cell]
K  0.3145  0.5634  0.2650 [4 per cell]
K  0.3209  0.0723  0.1117 [4 per cell]
Ho  0.0000  0.0000  0.0000 [2 per cell]
Ho  0.5000  0.0000  0.5000 [2 per cell]
Cl  0.1005  0.2088  0.5899 [4 per cell]
Cl  0.1161  0.5041  0.3665 [4 per cell]
Cl  0.1455  0.6684  0.6587 [4 per cell]
Cl  0.3436  0.2132  0.3914 [4 per cell]
Cl  0.3456  0.7129  0.0038 [4 per cell]
Cl  0.5003  0.1389  0.6935 [4 per cell]

Results
E_form ... -2.367 eV/atom
Total DFT energy (no corrections) ... -11.1522 eV per atom
Total magnetization ... 0.00 μB/atom